Entry 1:
# Li3Ti2V5O12 PBE+U optimized geometry
# **E_form**: -2650.5 meV/atom
# **Volume**: 690 Å³/cell
data_Li3Ti2V5O12
_symmetry_space_group_name_H-M 'P 1'
_symmetry_Int_Tables_number 1
_cell_length_a 5.1151
_cell_length_b 5.2165
_cell_length_c 29.5433
_cell_angle_alpha 89.22
_cell_angle_beta 88.68
_cell_angle_gamma 61.17
loop_
_symmetry_equiv_pos_as_xyz
'x,y,z'
loop_
_atom_site_label
_atom_site_type_symbol
_atom_site_fract_x
_atom_site_fract_y
_atom_site_fract_z
Li1 Li 0.0000 0.0000 0.0000
Li2 Li 0.0011 0.6689 0.0791
Li3 Li 0.0040 0.0128 0.2537
Li4 Li 0.3326 0.6801 0.4138
Li5 Li 0.3395 0.9940 0.3314
Li6 Li 0.3438 0.0001 0.5860
Li7 Li 0.6658 0.9999 0.6673
Li8 Li 0.6793 0.9892 0.9193
Li9 Li 0.9714 0.0139 0.7451
Ti1 Ti 0.0005 0.3324 0.1662
Ti2 Ti 0.0035 0.3587 0.6629
Ti3 Ti 0.3350 0.3328 0.4995
Ti4 Ti 0.3391 0.3462 0.9965
Ti5 Ti 0.6503 0.3372 0.3363
Ti6 Ti 0.6606 0.3380 0.8340
V1 V 0.0025 0.3218 0.9188
V2 V 0.0061 0.6726 0.8323
V3 V 0.0073 0.3242 0.4142
V4 V 0.3192 0.6915 0.6682
V5 V 0.3272 0.3330 0.2528
V6 V 0.3359 0.9793 0.8316
V7 V 0.3377 0.3292 0.7462
V8 V 0.3439 0.6762 0.1665
V9 V 0.6470 0.6894 0.0022
V10 V 0.6593 0.9836 0.1663
V11 V 0.6712 0.3265 0.5853
V12 V 0.6759 0.6755 0.4993
V13 V 0.6778 0.3177 0.0801
V14 V 0.9842 0.6898 0.3312
V15 V 0.9952 0.9854 0.5003
O1 O 0.0064 0.3179 0.5365
O2 O 0.0113 0.0320 0.6308
O3 O 0.0117 0.3451 0.2929
O4 O 0.0127 0.3333 0.7957
O5 O 0.0159 0.6518 0.7058
O6 O 0.0193 0.6354 0.2035
O7 O 0.0325 0.6389 0.4605
O8 O 0.2780 0.0559 0.7069
O9 O 0.3035 0.0285 0.2061
O10 O 0.3212 0.0183 0.4625
O11 O 0.3207 0.3481 0.6288
O12 O 0.3220 0.3699 0.3706
O13 O 0.3300 0.6432 0.2927
O14 O 0.3393 0.0245 0.9647
O15 O 0.3391 0.3441 0.1287
O16 O 0.3407 0.3193 0.8699
O17 O 0.3472 0.6319 0.7930
O18 O 0.3484 0.6268 0.0401
O19 O 0.3519 0.6394 0.5365
O20 O 0.6337 0.3502 0.7055
O21 O 0.6363 0.0221 0.5388
O22 O 0.6509 0.0314 0.0393
O23 O 0.6511 0.3455 0.9623
O24 O 0.6599 0.6545 0.6300
O25 O 0.6612 0.0466 0.2930
O26 O 0.6651 0.3436 0.4627
O27 O 0.6658 0.3141 0.2038
O28 O 0.6697 0.0308 0.7944
O29 O 0.6812 0.6395 0.3690
O30 O 0.6896 0.6405 0.8697
O31 O 0.6983 0.6326 0.1265
O32 O 0.9627 0.3713 0.0401
O33 O 0.9683 0.0185 0.8710
O34 O 0.9797 0.0211 0.3678
O35 O 0.9824 0.0220 0.1292
O36 O 0.9934 0.6446 0.9637

***

Entry 2:
# Li2TiV2O6 PBE+U optimized geometry
# **E_form**: -2690.2 meV/atom
# **Excess energy over the best structure of this formula in the dataset**: 52 meV/atom
# **Volume**: 479 Å³/cell
data_Li2TiV2O6
_symmetry_space_group_name_H-M 'C m c e'
_symmetry_Int_Tables_number 64
_symmetry_space_group_name_Hall '-C 2ac 2'
_cell_length_a 8.9324
_cell_length_b 5.2220
_cell_length_c 10.2584
_cell_angle_alpha 90.00
_cell_angle_beta 90.00
_cell_angle_gamma 90.00
loop_
_atom_site_label
_atom_site_type_symbol
_atom_site_fract_x
_atom_site_fract_y
_atom_site_fract_z
Li1 Li 0.2500 0.1216 0.2500
Ti1 Ti 0.0000 0.0000 0.0000
V1 V 0.1644 0.0000 0.5000
O1 O 0.0000 0.1763 0.5977
O2 O 0.1677 0.1505 0.8923

***

> Which of these has the lowest E_form?

Li2TiV2O6

***

> Look up the E_form of the second one.

-2690.2 meV/atom

***

> Which of these has the lowest volume?

Li2TiV2O6

***

> Which of these has the lowest volume?

Li2TiV2O6